Entry from the Materials Project: an optimized crystal structure of NaLaMg14 (PBE).

abc: 6.6497 6.5551 10.5447
angles: 90.00 90.00 119.53
Closest atoms and distances in Å follow each position.
Element x y z (fractional)
1 Mg 0.1656 0.8328 0.6250  12 Mg 3.17-3.33
2 Mg 0.3392 0.1683 0.3850  10 Mg 3.16-3.38, 1 Na 3.34, 1 La 3.35
3 Mg 0.8297 0.1649 0.8691  11 Mg 3.19-3.38, 1 La 3.32
4 Mg 0.8297 0.1649 0.3809  11 Mg 3.19-3.38, 1 La 3.32
5 Mg 0.6669 0.8337 0.6250  12 Mg 3.16-3.34
6 Mg 0.6669 0.3331 0.6250  12 Mg 3.16-3.34
7 Mg 0.6606 0.3248 0.1250  8 Mg 3.20-3.35, 2 Na 3.26-3.39, 2 La 3.32-3.33
8 Mg 0.3392 0.6709 0.3850  10 Mg 3.16-3.38, 1 Na 3.34, 1 La 3.35
9 Mg 0.8321 0.6660 0.3747  11 Mg 3.25-3.36, 1 Na 3.28
10 Mg 0.6606 0.8359 0.1250  8 Mg 3.20-3.35, 2 Na 3.26-3.39, 2 La 3.32-3.33
11 Mg 0.3392 0.6709 0.8650  10 Mg 3.16-3.38, 1 Na 3.34, 1 La 3.35
12 Mg 0.8321 0.6660 0.8753  11 Mg 3.25-3.36, 1 Na 3.28
13 Mg 0.3392 0.1683 0.8650  10 Mg 3.16-3.38, 1 Na 3.34, 1 La 3.35
14 Mg 0.1648 0.3324 0.6250  12 Mg 3.18-3.34
15 Na 0.1693 0.8346 0.1250  10 Mg 3.26-3.39, 2 La 3.28
16 La 0.1648 0.3324 0.1250  2 Na 3.28, 10 Mg 3.32-3.35

Output
- SG: Amm2
- Magnetization: 0.000 μB per atom
- Energy of formation from the pure elements: 51 meV per atom
- Crystal system: orthorhombic
- DFT total energy: -1.74 eV/atom
- Energy above the most stable polymorph in this dataset: 0.014 eV per atom